DFT (GGA-PBE) results for an optimized crystal structure of Li2Hf2O5.

Cell: 10.265 3.896 12.947 Å, 90.00 122.73 90.00°
Fractional positions:
Li: 0.049 0.240 0.454
Li: 0.049 0.260 0.954
Li: 0.075 0.701 0.328
Li: 0.075 0.799 0.828
Li: 0.925 0.201 0.172
Li: 0.925 0.299 0.672
Li: 0.951 0.740 0.046
Li: 0.951 0.760 0.546
Hf: 0.331 0.678 0.147
Hf: 0.331 0.822 0.647
Hf: 0.334 0.132 0.366
Hf: 0.334 0.368 0.866
Hf: 0.666 0.632 0.134
Hf: 0.666 0.868 0.634
Hf: 0.669 0.178 0.353
Hf: 0.669 0.322 0.853
O: 0.119 0.746 0.017
O: 0.119 0.754 0.517
O: 0.126 0.193 0.337
O: 0.126 0.307 0.837
O: 0.301 0.653 0.298
O: 0.301 0.847 0.798
O: 0.384 0.169 0.213
O: 0.384 0.331 0.713
O: 0.414 0.618 0.035
O: 0.414 0.882 0.535
O: 0.586 0.118 0.465
O: 0.586 0.382 0.965
O: 0.616 0.669 0.287
O: 0.616 0.831 0.787
O: 0.699 0.153 0.202
O: 0.699 0.347 0.702
O: 0.874 0.693 0.163
O: 0.874 0.807 0.663
O: 0.881 0.246 0.483
O: 0.881 0.254 0.983

Output
VASP energy   -8.360 eV/atom
Spin magnetization   0.00 μB/atom
Space-group type   P2_1/c, No. 14
Energy relative to the elements   -3.356 eV/atom

DFT (GGA-PBE) results for an optimized crystal structure of Na3Nb3GaSi3P3O24.

Cell: 8.831 8.854 22.689 Å, 89.99 89.95 60.09°
Fractional positions:
Na: 0.000 0.000 0.000
Na: 0.006 0.994 0.505
Na: 0.327 0.336 0.835
Na: 0.333 0.335 0.334
Na: 0.370 0.638 0.752
Na: 0.636 0.999 0.751
Na: 0.666 0.668 0.170
Na: 0.673 0.665 0.668
Na: 0.705 0.327 0.585
Nb: 0.000 0.000 0.145
Nb: 0.331 0.334 0.685
Nb: 0.332 0.335 0.187
Nb: 0.333 0.338 0.979
Nb: 0.335 0.336 0.480
Nb: 0.659 0.670 0.023
Nb: 0.667 0.666 0.521
Nb: 0.996 0.004 0.356
Nb: 0.997 0.003 0.855
Ga: 0.663 0.666 0.315
Ga: 0.672 0.653 0.816
Ga: 0.998 0.004 0.645
Si: 0.044 0.622 0.083
Si: 0.045 0.328 0.582
Si: 0.320 0.636 0.584
Si: 0.332 0.049 0.083
Si: 0.380 0.667 0.913
Si: 0.621 0.333 0.083
Si: 0.628 0.040 0.583
Si: 0.662 0.387 0.413
Si: 0.716 0.295 0.748
P: 0.286 0.000 0.749
P: 0.293 0.713 0.251
P: 0.383 0.953 0.414
P: 0.664 0.952 0.914
P: 0.710 0.994 0.251
P: 0.950 0.665 0.414
P: 0.951 0.384 0.915
P: 0.993 0.296 0.251
P: 0.993 0.715 0.749
O: 0.016 0.165 0.589
O: 0.024 0.173 0.305
O: 0.025 0.813 0.092
O: 0.032 0.798 0.805
O: 0.134 0.367 0.641
O: 0.135 0.506 0.422
O: 0.136 0.499 0.141
O: 0.138 0.356 0.923
O: 0.153 0.821 0.592
O: 0.162 0.025 0.093
O: 0.164 0.306 0.245
O: 0.164 0.533 0.745
O: 0.165 0.306 0.525
O: 0.167 0.532 0.026
O: 0.171 0.028 0.805
O: 0.172 0.802 0.305
O: 0.182 0.841 0.909
O: 0.196 0.972 0.408
O: 0.198 0.826 0.196
O: 0.206 0.963 0.695
O: 0.300 0.168 0.025
O: 0.302 0.532 0.527
O: 0.305 0.531 0.244
O: 0.306 0.167 0.745
O: 0.354 0.139 0.423
O: 0.355 0.496 0.923
O: 0.363 0.139 0.141
O: 0.369 0.502 0.642
O: 0.464 0.840 0.470
O: 0.470 0.696 0.972
O: 0.473 0.697 0.255
O: 0.473 0.843 0.756
O: 0.491 0.636 0.854
O: 0.493 0.874 0.359
O: 0.495 0.355 0.423
O: 0.498 0.366 0.141
O: 0.501 0.131 0.642
O: 0.503 0.137 0.922
O: 0.504 0.857 0.076
O: 0.505 0.636 0.575
O: 0.517 0.310 0.745
O: 0.528 0.170 0.527
O: 0.529 0.164 0.245
O: 0.532 0.301 0.025
O: 0.631 0.503 0.357
O: 0.637 0.854 0.575
O: 0.638 0.873 0.857
O: 0.642 0.504 0.075
O: 0.681 0.492 0.755
O: 0.692 0.833 0.257
O: 0.695 0.839 0.970
O: 0.697 0.466 0.474
O: 0.801 0.026 0.305
O: 0.804 0.164 0.806
O: 0.810 0.032 0.590
O: 0.812 0.162 0.092
O: 0.824 0.974 0.196
O: 0.826 0.203 0.689
O: 0.829 0.699 0.759
O: 0.829 0.974 0.909
O: 0.833 0.476 0.256
O: 0.837 0.187 0.407
O: 0.838 0.699 0.470
O: 0.839 0.465 0.971
O: 0.852 0.506 0.575
O: 0.853 0.643 0.075
O: 0.869 0.638 0.359
O: 0.875 0.493 0.860
O: 0.962 0.829 0.695
O: 0.971 0.198 0.909
O: 0.973 0.201 0.196
O: 0.974 0.830 0.408

Output
VASP energy   -7.524 eV/atom
Spin magnetization   0.00 μB/atom
Space-group type   P1, No. 1
Energy relative to the elements   -2.873 eV/atom

DFT (GGA-PBE) results for an optimized crystal structure of Tm2TiO5.

Cell: 7.389 7.389 17.345 Å, 91.31 91.31 62.37°
Fractional positions:
Tm: 0.000 0.000 0.000
Tm: 0.015 0.545 0.491
Tm: 0.164 0.682 0.156
Tm: 0.180 0.676 0.672
Tm: 0.323 0.860 0.324
Tm: 0.327 0.859 0.834
Tm: 0.508 0.962 0.008
Tm: 0.512 0.512 0.493
Tm: 0.545 0.015 0.491
Tm: 0.676 0.180 0.672
Tm: 0.682 0.164 0.156
Tm: 0.684 0.684 0.656
Tm: 0.847 0.847 0.835
Tm: 0.859 0.327 0.834
Tm: 0.860 0.323 0.324
Tm: 0.962 0.508 0.008
Ti: 0.025 0.025 0.505
Ti: 0.172 0.172 0.168
Ti: 0.199 0.199 0.665
Ti: 0.341 0.341 0.824
Ti: 0.342 0.342 0.322
Ti: 0.480 0.480 0.998
Ti: 0.655 0.655 0.184
Ti: 0.828 0.828 0.325
O: 0.013 0.013 0.874
O: 0.036 0.036 0.122
O: 0.039 0.442 0.616
O: 0.050 0.050 0.615
O: 0.074 0.710 0.033
O: 0.096 0.420 0.125
O: 0.190 0.190 0.785
O: 0.195 0.195 0.280
O: 0.218 0.621 0.813
O: 0.238 0.637 0.553
O: 0.245 0.591 0.280
O: 0.281 0.912 0.456
O: 0.346 0.346 0.944
O: 0.354 0.354 0.704
O: 0.355 0.355 0.430
O: 0.366 0.755 0.964
O: 0.370 0.821 0.195
O: 0.399 0.775 0.715
O: 0.420 0.096 0.125
O: 0.442 0.039 0.616
O: 0.468 0.468 0.104
O: 0.556 0.926 0.883
O: 0.566 0.964 0.366
O: 0.591 0.245 0.280
O: 0.621 0.218 0.813
O: 0.622 0.622 0.301
O: 0.637 0.238 0.553
O: 0.681 0.681 0.531
O: 0.689 0.689 0.075
O: 0.710 0.074 0.033
O: 0.755 0.366 0.964
O: 0.775 0.399 0.715
O: 0.808 0.808 0.213
O: 0.821 0.370 0.195
O: 0.844 0.844 0.708
O: 0.883 0.883 0.474
O: 0.912 0.281 0.456
O: 0.926 0.556 0.883
O: 0.964 0.566 0.366
O: 0.976 0.976 0.323

Output
VASP energy   -8.510 eV/atom
Spin magnetization   0.00 μB/atom
Space-group type   Cm, No. 8
Energy relative to the elements   -3.741 eV/atom

DFT (GGA-PBE) results for an optimized crystal structure of Nd5Ti5O17.

Cell: 7.784 5.495 31.946 Å, 90.00 97.05 90.00°
Fractional positions:
Nd: 0.142 0.102 0.279
Nd: 0.142 0.398 0.779
Nd: 0.209 0.505 0.417
Nd: 0.209 0.995 0.917
Nd: 0.254 0.508 0.007
Nd: 0.254 0.992 0.507
Nd: 0.300 0.503 0.597
Nd: 0.300 0.997 0.097
Nd: 0.357 0.533 0.203
Nd: 0.357 0.967 0.703
Nd: 0.643 0.033 0.297
Nd: 0.643 0.467 0.797
Nd: 0.700 0.003 0.903
Nd: 0.700 0.497 0.403
Nd: 0.746 0.008 0.493
Nd: 0.746 0.492 0.993
Nd: 0.791 0.005 0.083
Nd: 0.791 0.495 0.583
Nd: 0.858 0.602 0.221
Nd: 0.858 0.898 0.721
Ti: 0.000 0.000 0.000
Ti: 0.000 0.500 0.500
Ti: 0.047 0.511 0.093
Ti: 0.047 0.989 0.593
Ti: 0.080 0.033 0.176
Ti: 0.080 0.467 0.676
Ti: 0.405 0.542 0.322
Ti: 0.405 0.958 0.822
Ti: 0.455 0.010 0.406
Ti: 0.455 0.490 0.906
Ti: 0.500 0.000 0.000
Ti: 0.500 0.500 0.500
Ti: 0.545 0.510 0.094
Ti: 0.545 0.990 0.594
Ti: 0.595 0.042 0.178
Ti: 0.595 0.458 0.678
Ti: 0.920 0.533 0.324
Ti: 0.920 0.967 0.824
Ti: 0.953 0.011 0.407
Ti: 0.953 0.489 0.907
O: 0.023 0.711 0.965
O: 0.023 0.789 0.465
O: 0.037 0.190 0.119
O: 0.037 0.310 0.619
O: 0.064 0.713 0.551
O: 0.064 0.787 0.051
O: 0.082 0.198 0.711
O: 0.082 0.302 0.211
O: 0.130 0.705 0.138
O: 0.130 0.795 0.638
O: 0.131 0.685 0.721
O: 0.131 0.815 0.221
O: 0.166 0.060 0.831
O: 0.166 0.440 0.331
O: 0.205 0.065 0.410
O: 0.205 0.435 0.910
O: 0.248 0.078 0.996
O: 0.248 0.422 0.496
O: 0.290 0.079 0.580
O: 0.290 0.421 0.080
O: 0.337 0.100 0.172
O: 0.337 0.400 0.672
O: 0.368 0.675 0.795
O: 0.368 0.825 0.295
O: 0.404 0.169 0.774
O: 0.404 0.331 0.274
O: 0.419 0.686 0.381
O: 0.419 0.814 0.881
O: 0.442 0.711 0.965
O: 0.442 0.789 0.465
O: 0.488 0.712 0.552
O: 0.488 0.788 0.052
O: 0.494 0.199 0.361
O: 0.494 0.301 0.861
O: 0.506 0.699 0.139
O: 0.506 0.801 0.639
O: 0.512 0.212 0.948
O: 0.512 0.288 0.448
O: 0.558 0.211 0.535
O: 0.558 0.289 0.035
O: 0.581 0.186 0.119
O: 0.581 0.314 0.619
O: 0.596 0.669 0.726
O: 0.596 0.831 0.226
O: 0.632 0.175 0.705
O: 0.632 0.325 0.205
O: 0.663 0.600 0.328
O: 0.663 0.900 0.828
O: 0.710 0.579 0.920
O: 0.710 0.921 0.420
O: 0.752 0.578 0.504
O: 0.752 0.922 0.004
O: 0.795 0.565 0.090
O: 0.795 0.935 0.590
O: 0.834 0.560 0.669
O: 0.834 0.940 0.169
O: 0.869 0.185 0.779
O: 0.869 0.315 0.279
O: 0.870 0.205 0.362
O: 0.870 0.295 0.862
O: 0.918 0.698 0.789
O: 0.918 0.802 0.289
O: 0.936 0.213 0.949
O: 0.936 0.287 0.449
O: 0.963 0.690 0.381
O: 0.963 0.810 0.881
O: 0.977 0.211 0.535
O: 0.977 0.289 0.035

Output
VASP energy   -8.733 eV/atom
Spin magnetization   0.02 μB/atom
Space-group type   P2_1/c, No. 14
Energy relative to the elements   -3.705 eV/atom